Entry 1:
Mg14NiC | GGA-PBE | optimized geometry

a = 6.236 Å, b = 7.006 Å, c = 9.204 Å
α = 90.00°, β = 90.00°, γ = 124.17°
Element x y z (fractional)
Mg  0.672  0.305  0.625
Mg  0.732  0.616  0.387
Mg  0.163  0.832  0.625
Mg  0.295  0.106  0.951
Mg  0.809  0.879  0.125
Mg  0.672  0.867  0.625
Mg  0.853  0.176  0.362
Mg  0.221  0.361  0.625
Mg  0.809  0.431  0.125
Mg  0.295  0.106  0.299
Mg  0.732  0.616  0.863
Mg  0.295  0.689  0.951
Mg  0.295  0.689  0.299
Mg  0.853  0.176  0.888
C  0.121  0.811  0.125
Ni  0.182  0.341  0.125

**Excess energy over the best structure of this formula in the dataset**: 0 meV per atom
**DFT total energy**: -2.169 eV per atom
**Formation energy**: 0.1692 eV per atom
**Size of the total moment**: 0.00 μB/f.u.

***

Entry 2:
Mg14NiC | GGA-PBE | optimized geometry

a = 6.250 Å, b = 6.250 Å, c = 9.470 Å
α = 90.00°, β = 90.00°, γ = 120.00°
Element x y z (fractional)
Mg  0.666  0.834  0.125
Mg  0.323  0.646  0.377
Mg  0.667  0.833  0.625
Mg  0.833  0.667  0.372
Mg  0.165  0.833  0.625
Mg  0.168  0.834  0.125
Mg  0.323  0.177  0.873
Mg  0.854  0.177  0.377
Mg  0.667  0.335  0.625
Mg  0.666  0.332  0.125
Mg  0.323  0.646  0.873
Mg  0.833  0.667  0.878
Mg  0.854  0.177  0.873
Mg  0.323  0.177  0.377
C  0.167  0.333  0.625
Ni  0.167  0.333  0.125

**Excess energy over the best structure of this formula in the dataset**: 117 meV per atom
**DFT total energy**: -2.052 eV per atom
**Formation energy**: 0.2866 eV per atom
**Size of the total moment**: 0.00 μB/f.u.

***

Entry 3:
MgCO3 | GGA-PBE | optimized geometry

a = 5.163 Å, b = 5.163 Å, c = 3.647 Å
α = 90.00°, β = 90.00°, γ = 110.97°
Element x y z (fractional)
Mg  0.788  0.212  0.250
Mg  0.212  0.788  0.750
O  0.107  0.346  0.647
O  0.583  0.417  0.750
O  0.893  0.654  0.147
O  0.346  0.107  0.353
O  0.417  0.583  0.250
O  0.654  0.893  0.853
C  0.653  0.653  0.000
C  0.347  0.347  0.500

**DFT total energy**: -6.793 eV per atom
**Formation energy**: -2.0705 eV per atom
**Size of the total moment**: 0.00 μB/f.u.